Compound: Ho2Zr2O7
Source: the Materials Project
Functional: PBE-GGA
Structure: relaxed

formation energy	-3776	meV/atom
mass density	7.21	g/cm³

Structure (CIF):
```
data_Ho2Zr2O7
_cell_length_a 7.515
_cell_length_b 3.604
_cell_length_c 10.611
_cell_angle_alpha 90.00
_cell_angle_beta 90.00
_cell_angle_gamma 90.00
_symmetry_space_group_name_H-M 'P m m a'
_symmetry_Int_Tables_number 51
loop_
_symmetry_equiv_pos_as_xyz
'x,y,z'
'-x,-y,-z'
'-x+1/2,-y,z'
'x+1/2,y,-z'
'x+1/2,-y,-z'
'-x+1/2,y,z'
'-x,y,-z'
'x,-y,z'
loop_
_atom_site_label
_atom_site_fract_x
_atom_site_fract_y
_atom_site_fract_z
_atom_site_occupancy
Ho1 0.000 0.000 0.000 1
Ho2 0.250 0.500 0.274 1
Zr1 0.000 0.000 0.500 1
Zr2 0.250 0.500 0.745 1
O1 0.019 0.500 0.619 1
O2 0.044 0.500 0.129 1
O3 0.250 0.000 0.388 1
O4 0.250 0.000 0.632 1
O5 0.250 0.000 0.881 1
```